Here is a geometry-optimized Te3Au2 structure from the Materials Project. Energies are from PBE-GGA.

Geometry as CIF:
```
data_Te3Au2
_cell_length_a 10.784
_cell_length_b 12.264
_cell_length_c 13.594
_cell_angle_alpha 109.47
_cell_angle_beta 104.25
_cell_angle_gamma 96.61
_symmetry_space_group_name_H-M 'P 1'
_symmetry_Int_Tables_number 1
_symmetry_space_group_name_Hall 'P 1'
loop_
_atom_site_label
_atom_site_type_symbol
_atom_site_fract_x
_atom_site_fract_y
_atom_site_fract_z
Te1 Te 0.000 0.000 0.000
Te2 Te 0.001 0.673 0.722
Te3 Te 0.028 0.124 0.843
Te4 Te 0.053 0.340 0.242
Te5 Te 0.072 0.458 0.091
Te6 Te 0.128 0.799 0.341
Te7 Te 0.159 0.132 0.609
Te8 Te 0.167 0.433 0.829
Te9 Te 0.230 0.892 0.892
Te10 Te 0.253 0.734 0.060
Te11 Te 0.259 0.081 0.316
Te12 Te 0.294 0.217 0.145
Te13 Te 0.320 0.404 0.562
Te14 Te 0.325 0.559 0.403
Te15 Te 0.358 0.891 0.643
Te16 Te 0.390 0.730 0.798
Te17 Te 0.425 0.214 0.894
Te18 Te 0.453 0.498 0.118
Te19 Te 0.475 0.953 0.206
Te20 Te 0.499 0.813 0.371
Te21 Te 0.541 0.165 0.621
Te22 Te 0.563 0.304 0.460
Te23 Te 0.588 0.487 0.860
Te24 Te 0.606 0.627 0.705
Te25 Te 0.616 0.970 0.952
Te26 Te 0.647 0.814 0.124
Te27 Te 0.666 0.251 0.197
Te28 Te 0.712 0.581 0.415
Te29 Te 0.751 0.900 0.687
Te30 Te 0.759 0.077 0.535
Te31 Te 0.788 0.245 0.930
Te32 Te 0.838 0.568 0.187
Te33 Te 0.873 0.714 0.011
Te34 Te 0.888 0.057 0.275
Te35 Te 0.915 0.895 0.441
Te36 Te 0.964 0.376 0.506
Au1 Au 0.012 0.565 0.915
Au2 Au 0.065 0.895 0.167
Au3 Au 0.110 0.228 0.412
Au4 Au 0.135 0.673 0.489
Au5 Au 0.175 0.556 0.646
Au6 Au 0.183 0.996 0.740
Au7 Au 0.229 0.319 0.984
Au8 Au 0.280 0.645 0.230
Au9 Au 0.329 0.986 0.478
Au10 Au 0.378 0.309 0.727
Au11 Au 0.432 0.627 0.964
Au12 Au 0.442 0.073 0.047
Au13 Au 0.492 0.401 0.295
Au14 Au 0.540 0.728 0.544
Au15 Au 0.587 0.060 0.784
Au16 Au 0.640 0.387 0.036
Au17 Au 0.685 0.714 0.283
Au18 Au 0.707 0.159 0.363
Au19 Au 0.795 0.370 0.787
Au20 Au 0.801 0.811 0.854
Au21 Au 0.846 0.140 0.099
Au22 Au 0.903 0.474 0.347
Au23 Au 0.955 0.789 0.586
Au24 Au 0.964 0.252 0.684
```

Properties
DFT formation energy (eV/atom): -0.046
VASP energy (eV for the cell shown): -194.48
Density (Mg/m³): 9.65
Magnetic moment (μB per formula unit): 0.000